NaPrAu2: relaxed, meta-GGA r2SCAN.

Lattice parameters (Å, degrees): 5.088 5.088 5.088 60.00 60.00 60.00
Positions (direct):
Na: 0.000 0.000 0.000
Pr: 0.500 0.500 0.500
Au: 0.250 0.250 0.250
Au: 0.750 0.750 0.750

Results
- calculated volume (Å³/cell) = 93.2
- ρ (g/cm³) = 9.94
- uncorrected energy (eV/atom) = -34.1829

Na5AuSe12: relaxed, meta-GGA r2SCAN.

Lattice parameters (Å, degrees): 7.160 16.932 8.365 90.00 106.84 90.00
Positions (direct):
Na: 0.119 0.000 0.102
Na: 0.221 0.801 0.018
Na: 0.223 0.215 0.348
Na: 0.292 0.434 0.562
Na: 0.335 0.622 0.286
Na: 0.665 0.122 0.714
Na: 0.708 0.934 0.438
Na: 0.777 0.715 0.652
Na: 0.779 0.301 0.982
Na: 0.881 0.500 0.898
Au: 0.214 0.213 0.839
Au: 0.786 0.713 0.161
Se: 0.009 0.148 0.575
Se: 0.043 0.344 0.747
Se: 0.050 0.408 0.214
Se: 0.095 0.643 0.935
Se: 0.151 0.022 0.556
Se: 0.224 0.816 0.488
Se: 0.317 0.409 0.102
Se: 0.359 0.611 0.830
Se: 0.389 0.084 0.923
Se: 0.393 0.050 0.421
Se: 0.423 0.276 0.104
Se: 0.476 0.790 0.364
Se: 0.524 0.290 0.636
Se: 0.577 0.776 0.896
Se: 0.607 0.550 0.579
Se: 0.611 0.584 0.077
Se: 0.641 0.111 0.170
Se: 0.683 0.909 0.898
Se: 0.776 0.316 0.512
Se: 0.849 0.522 0.444
Se: 0.905 0.143 0.065
Se: 0.950 0.908 0.786
Se: 0.957 0.844 0.253
Se: 0.991 0.648 0.425

Results
- calculated volume (Å³/cell) = 970.6
- ρ (g/cm³) = 4.31
- uncorrected energy (eV/atom) = -13.9466

NaSiAu3: relaxed, meta-GGA r2SCAN.

Lattice parameters (Å, degrees): 8.969 8.969 8.969 90.00 90.00 90.00
Positions (direct):
Na: 0.097 0.097 0.097
Na: 0.097 0.403 0.597
Na: 0.403 0.597 0.097
Na: 0.403 0.903 0.597
Na: 0.597 0.097 0.403
Na: 0.597 0.403 0.903
Na: 0.903 0.597 0.403
Na: 0.903 0.903 0.903
Si: 0.124 0.624 0.876
Si: 0.124 0.876 0.376
Si: 0.376 0.124 0.876
Si: 0.376 0.376 0.376
Si: 0.624 0.624 0.624
Si: 0.624 0.876 0.124
Si: 0.876 0.124 0.624
Si: 0.876 0.376 0.124
Au: 0.095 0.728 0.128
Au: 0.095 0.772 0.628
Au: 0.128 0.095 0.728
Au: 0.128 0.405 0.228
Au: 0.228 0.128 0.405
Au: 0.228 0.372 0.905
Au: 0.272 0.628 0.405
Au: 0.272 0.872 0.905
Au: 0.372 0.595 0.728
Au: 0.372 0.905 0.228
Au: 0.405 0.228 0.128
Au: 0.405 0.272 0.628
Au: 0.595 0.728 0.372
Au: 0.595 0.772 0.872
Au: 0.628 0.095 0.772
Au: 0.628 0.405 0.272
Au: 0.728 0.128 0.095
Au: 0.728 0.372 0.595
Au: 0.772 0.628 0.095
Au: 0.772 0.872 0.595
Au: 0.872 0.595 0.772
Au: 0.872 0.905 0.272
Au: 0.905 0.228 0.372
Au: 0.905 0.272 0.872

Results
- calculated volume (Å³/cell) = 721.5
- ρ (g/cm³) = 11.82
- uncorrected energy (eV/atom) = -33.1227